{
  "formula": "Li8Mn13Fe3O32",
  "functional": "PBE with a Hubbard U",
  "state": "optimized geometry",
  "energy_ev_per_atom": -6.80,
  "rho_g_cm3": 4.0,
  "total_magnetization_mub_per_atom": 1.054,
  "delta_e_f_mev_per_atom": -2021.4,
  "lattice": [[8.304, 0.000, 0.000], [0.082, 8.662, 0.000], [4.075, 4.250, 8.276]],
  "species": ["Li", "Li", "Li", "Li", "Li", "Li", "Li", "Li", "Mn", "Mn", "Mn", "Mn", "Mn", "Mn", "Mn", "Mn", "Mn", "Mn", "Mn", "Mn", "Mn", "Fe", "Fe", "Fe", "O", "O", "O", "O", "O", "O", "O", "O", "O", "O", "O", "O", "O", "O", "O", "O", "O", "O", "O", "O", "O", "O", "O", "O", "O", "O", "O", "O", "O", "O", "O", "O"],
  "frac_coords": [[0.065, 0.302, 0.125], [0.186, 0.448, 0.376], [0.314, 0.054, 0.624], [0.434, 0.198, 0.877], [0.566, 0.802, 0.123], [0.686, 0.946, 0.376], [0.814, 0.552, 0.624], [0.935, 0.698, 0.875], [0.000, 0.000, 0.000], [0.000, 0.000, 0.500], [0.125, 0.376, 0.751], [0.125, 0.871, 0.251], [0.249, 0.748, 0.499], [0.375, 0.625, 0.750], [0.376, 0.124, 0.250], [0.500, 0.500, 0.000], [0.624, 0.876, 0.750], [0.625, 0.375, 0.250], [0.751, 0.252, 0.501], [0.875, 0.129, 0.749], [0.875, 0.624, 0.249], [0.250, 0.751, 0.999], [0.500, 0.500, 0.500], [0.750, 0.249, 0.001], [0.001, 0.233, 0.986], [0.024, 0.759, 0.484], [0.099, 0.113, 0.767], [0.114, 0.651, 0.242], [0.133, 0.093, 0.262], [0.151, 0.639, 0.733], [0.229, 0.982, 0.013], [0.248, 0.982, 0.485], [0.250, 0.516, 0.515], [0.271, 0.517, 0.987], [0.350, 0.860, 0.266], [0.363, 0.403, 0.744], [0.387, 0.848, 0.755], [0.402, 0.389, 0.233], [0.480, 0.732, 0.514], [0.499, 0.267, 0.015], [0.501, 0.733, 0.985], [0.520, 0.268, 0.486], [0.598, 0.611, 0.767], [0.613, 0.152, 0.245], [0.637, 0.597, 0.256], [0.650, 0.140, 0.734], [0.729, 0.483, 0.013], [0.750, 0.484, 0.485], [0.752, 0.018, 0.515], [0.771, 0.018, 0.987], [0.849, 0.361, 0.267], [0.867, 0.907, 0.738], [0.886, 0.349, 0.758], [0.901, 0.887, 0.233], [0.976, 0.241, 0.516], [0.999, 0.767, 0.014]]
}